No. 1
Li4B8H5O18 | PBE-GGA | optimized geometry

Computed properties:
formation energy from the elements: -2.350 eV/atom
symmetry: P1
E_tot: -6.771 eV/atom

a b c (Å): 8.5194 8.7613 10.8788
angles (deg): 87.10 71.87 62.14
Sites, in units of the cell vectors:
B 0.0672 0.8569 0.1936
B 0.9332 0.1421 0.8081
B 0.5825 0.3066 0.8491
B 0.4193 0.6947 0.1476
B 0.4492 0.1296 0.7861
B 0.1315 0.8325 0.8280
B 0.7393 0.4452 0.0721
B 0.2588 0.7848 0.5851
B 0.3446 0.2683 0.0133
B 0.2811 0.9964 0.7150
B 0.8686 0.1671 0.1724
B 0.7300 0.2167 0.4133
B 0.5554 0.8644 0.2131
B 0.6637 0.7311 0.9853
B 0.2631 0.5541 0.9247
B 0.7202 0.0009 0.2822
O 0.3167 0.9079 0.5872
O 0.7028 0.7799 0.8532
O 0.2886 0.6977 0.4713
O 0.4485 0.4950 0.8507
O 0.1557 0.3497 0.4575
O 0.8218 0.2604 0.3025
O 0.2696 0.4136 0.3922
O 0.7253 0.5379 0.6147
O 0.4751 0.7517 0.0193
O 0.6739 0.8385 0.0839
O 0.8024 0.5461 0.9900
O 0.2332 0.7130 0.1854
O 0.6865 0.3058 0.5328
O 0.8882 0.5267 0.2641
O 0.9052 0.8428 0.2484
O 0.1208 0.7184 0.9278
O 0.7197 0.1202 0.1820
O 0.2790 0.8814 0.8169
O 0.2028 0.4486 0.0017
O 0.4338 0.7964 0.2476
O 0.0555 0.0100 0.1443
O 0.1380 0.4570 0.7161
O 0.8816 0.2805 0.0708
O 0.5716 0.9514 0.3061
O 0.3018 0.2255 0.1447
O 0.4285 0.0482 0.6911
O 0.1683 0.7425 0.6999
O 0.9426 0.9923 0.8587
O 0.5335 0.2474 0.9752
O 0.5547 0.5049 0.1457
O 0.7557 0.6503 0.5330
O 0.5671 0.2026 0.7490
O 0.0938 0.1591 0.7500
O 0.7720 0.2872 0.8061
O 0.6773 0.0912 0.4128
O 0.3360 0.1542 0.9152
Li 0.9423 0.6512 0.1164
Li 0.5139 0.9797 0.4969
Li 0.2726 0.9723 0.9940
Li 0.7276 0.0298 0.0148
Li 0.0686 0.3548 0.9107
Li 0.5265 0.6835 0.8242
Li 0.9609 0.3880 0.6788
Li 0.4696 0.3216 0.1837
H 0.8248 0.7730 0.8133
H 0.7090 0.4402 0.5645
H 0.8454 0.5909 0.3496
H 0.6373 0.2553 0.6143
H 0.2376 0.5260 0.4414
H 0.2593 0.3669 0.6605
H 0.1485 0.5684 0.7073
H 0.8504 0.4336 0.2826
H 0.3460 0.7393 0.3898
H 0.1686 0.2888 0.1952



No. 2
Mg5Sb | PBE-GGA | optimized geometry

Computed properties:
formation energy from the elements: -0.081 eV/atom
symmetry: R32
relative energy among the computed polymorphs: 0.72 kcal/mol of atoms
E_tot: -2.070 eV/atom

a b c (Å): 6.1251 6.1251 6.1251
angles (deg): 53.90 53.90 53.90
Sites, in units of the cell vectors:
Mg 0.0000 0.6667 0.3333
Mg 0.3333 0.0000 0.6667
Mg 0.1669 0.1669 0.1669
Mg 0.8331 0.8331 0.8331
Mg 0.6667 0.3333 0.0000
Sb 0.5000 0.5000 0.5000